No. 1
Computed, not measured: an optimized crystal structure of BaCaV4O8 at the PBE with a Hubbard U level of DFT.

Computed properties:
calculated total energy = -104.2 eV for the cell shown
calculated density = 3.98 g/cm3

```
BaCaV4O8
1.0
2.787 -4.828 0.000
2.787 4.828 0.000
0.000 0.000 7.886
O Ba V Ca
8 1 4 1
direct
0.670 0.670 0.306 O
0.667 0.333 0.000 O
0.000 0.670 0.694 O
0.330 0.330 0.694 O
0.000 0.330 0.306 O
0.333 0.667 0.000 O
0.330 0.000 0.306 O
0.670 0.000 0.694 O
0.000 0.000 0.000 Ba
0.333 0.667 0.759 V
0.667 0.333 0.759 V
0.667 0.333 0.241 V
0.333 0.667 0.241 V
0.000 0.000 0.500 Ca
```



No. 2
Computed, not measured: an optimized crystal structure of Ba2CaWO6 at the PBE with a Hubbard U level of DFT.

Computed properties:
calculated total energy = -280.8 eV for the cell shown
calculated density = 6.36 g/cm3

```
Ba2CaWO6
1.0
8.530 0.000 0.000
0.000 8.530 0.000
0.000 0.000 8.530
O Ca Ba W
24 4 8 4
direct
0.979 0.734 0.234 O
0.766 0.734 0.479 O
0.979 0.266 0.766 O
0.521 0.234 0.734 O
0.234 0.979 0.734 O
0.021 0.734 0.766 O
0.266 0.521 0.766 O
0.266 0.234 0.021 O
0.734 0.479 0.766 O
0.234 0.266 0.479 O
0.234 0.734 0.521 O
0.734 0.234 0.979 O
0.766 0.021 0.734 O
0.021 0.266 0.234 O
0.266 0.479 0.234 O
0.734 0.766 0.021 O
0.266 0.766 0.979 O
0.521 0.766 0.266 O
0.479 0.234 0.266 O
0.479 0.766 0.734 O
0.766 0.979 0.266 O
0.766 0.266 0.521 O
0.734 0.521 0.234 O
0.234 0.021 0.266 O
0.750 0.750 0.750 Ca
0.250 0.750 0.250 Ca
0.250 0.250 0.750 Ca
0.750 0.250 0.250 Ca
0.500 0.500 0.500 Ba
0.500 0.500 0.000 Ba
0.000 0.000 0.000 Ba
0.000 0.500 0.000 Ba
0.500 0.000 0.500 Ba
0.000 0.000 0.500 Ba
0.500 0.000 0.000 Ba
0.000 0.500 0.500 Ba
0.750 0.250 0.750 W
0.250 0.750 0.750 W
0.250 0.250 0.250 W
0.750 0.750 0.250 W
```



No. 3
Computed, not measured: an optimized crystal structure of Ba2CaWO6 at the PBE with a Hubbard U level of DFT.

Computed properties:
calculated total energy = -70.2 eV for the cell shown
calculated density = 6.38 g/cm3

```
Ba2CaWO6
1.0
-0.346 4.930 -3.450
2.214 -0.083 -5.605
-3.745 0.118 -4.721
O W Ba Ca
6 1 2 1
direct
0.730 0.270 0.270 O
0.270 0.730 0.730 O
0.730 0.270 0.730 O
0.730 0.730 0.270 O
0.270 0.270 0.730 O
0.270 0.730 0.270 O
0.500 0.500 0.500 W
0.250 0.250 0.250 Ba
0.750 0.750 0.750 Ba
0.000 0.000 0.000 Ca
```



No. 4
Computed, not measured: an optimized crystal structure of Ba2CaWO6 at the PBE with a Hubbard U level of DFT.

Computed properties:
calculated total energy = -70.2 eV for the cell shown
calculated density = 6.37 g/cm3

```
Ba2CaWO6
1.0
-3.012 3.012 4.269
3.012 -3.012 4.269
3.012 3.012 -4.269
O Ba W Ca
6 2 1 1
direct
0.270 0.270 0.000 O
0.261 0.279 0.540 O
0.279 0.739 0.018 O
0.721 0.261 0.982 O
0.730 0.730 0.000 O
0.739 0.721 0.460 O
0.750 0.250 0.500 Ba
0.250 0.750 0.500 Ba
0.500 0.500 0.000 W
0.000 0.000 0.000 Ca
```



no.,V (Å³ per cell)
1,212.22
2,620.66
3,154.82
4,154.90